Record 1
Here is a relaxed structure of ErPd2 from Materials Project. Energies are from GGA-PBE.

Geometry as extended XYZ:
```
3
Lattice="2.252 -4.471 0.276 0.409 -1.636 4.722 -3.811 1.790 -2.722" Properties=species:S:1:pos:R:3 pbc="T T T"
Er 0.000 0.000 0.000
Pd -0.115 -2.867 0.027
Pd -1.036 -1.450 2.249
```

SG: I4/mmm


Record 2
Here is a relaxed structure of Er3Pd4 from Materials Project. Energies are from GGA-PBE.

Geometry as extended XYZ:
```
14
Lattice="4.251 -6.584 0.000 4.251 6.584 0.000 -5.945 0.000 5.106" Properties=species:S:1:pos:R:3 pbc="T T T"
Er 0.162 -2.488 1.428
Er -1.101 1.672 2.061
Er 2.752 0.816 0.131
Er 2.395 2.488 3.678
Er 3.658 -1.672 3.046
Er -0.195 -0.816 4.975
Pd 0.000 0.000 0.000
Pd 1.279 0.000 2.553
Pd -2.058 -1.080 2.817
Pd 1.265 3.226 1.153
Pd 2.938 -2.146 0.315
Pd 4.615 1.080 2.290
Pd 1.292 -3.226 3.954
Pd -0.381 2.146 4.791
```

SG: R-3


Record 3
Here is a relaxed structure of ErPd3 from Materials Project. Energies are from GGA-PBE.

Geometry as extended XYZ:
```
4
Lattice="-3.294 2.189 1.119 -0.545 -2.474 3.236 2.397 2.445 2.273" Properties=species:S:1:pos:R:3 pbc="T T T"
Er 0.000 0.000 0.000
Pd -0.448 2.317 1.696
Pd 0.926 -0.014 2.755
Pd -1.919 -0.143 2.177
```

SG: Pm-3m


Record 4
Here is a relaxed structure of Er3Pd2 from Materials Project. Energies are from GGA-PBE.

Geometry as extended XYZ:
```
10
Lattice="7.726 0.000 0.000 0.000 7.726 0.000 0.000 0.000 3.940" Properties=species:S:1:pos:R:3 pbc="T T T"
Er 6.461 5.128 1.970
Er 2.598 6.461 1.970
Er 1.265 2.598 1.970
Er 5.128 1.265 1.970
Er 3.863 3.863 0.000
Er 0.000 0.000 0.000
Pd 1.040 4.903 0.000
Pd 4.903 6.687 0.000
Pd 2.824 1.040 0.000
Pd 6.687 2.824 0.000
```

SG: P4/mbm


Record 5
Here is a relaxed structure of PmErPd2 from Materials Project. Energies are from GGA-PBE.

Geometry as extended XYZ:
```
4
Lattice="0.000 3.551 3.551 3.551 0.000 3.551 3.551 3.551 0.000" Properties=species:S:1:pos:R:3 pbc="T T T"
Pm 0.000 0.000 0.000
Er 3.551 3.551 3.551
Pd 1.775 1.775 1.775
Pd 5.326 5.326 5.326
```

SG: Fm-3m


Record 6
Here is a relaxed structure of Er2PdRu from Materials Project. Energies are from GGA-PBE.

Geometry as extended XYZ:
```
4
Lattice="-4.293 -2.224 -0.193 -3.911 2.416 -1.511 -1.989 -1.052 -4.284" Properties=species:S:1:pos:R:3 pbc="T T T"
Er -2.548 -0.215 -1.497
Er -7.645 -0.645 -4.491
Pd -5.096 -0.430 -2.994
Ru 0.000 0.000 0.000
```

SG: Fm-3m


Record 7
Here is a relaxed structure of ErPd3S4 from Materials Project. Energies are from GGA-PBE.

Geometry as extended XYZ:
```
16
Lattice="-4.998 2.873 3.408 -4.379 -4.117 -2.952 0.828 -4.432 4.951" Properties=species:S:1:pos:R:3 pbc="T T T"
Er -4.274 -2.838 2.703
Er 0.000 0.000 0.000
Pd -1.878 -1.888 5.417
Pd -0.681 -3.245 1.737
Pd -5.938 0.096 1.079
Pd -2.292 0.328 2.942
Pd -2.870 -5.304 0.261
Pd -3.439 -1.340 -0.624
S -4.222 -2.199 5.531
S -4.327 -3.477 -0.125
S -6.826 -2.041 1.579
S -1.723 -3.635 3.827
S -3.913 -5.693 2.351
S -4.636 0.017 3.055
S -2.137 -1.419 1.352
S -6.412 -4.257 4.055
```

SG: Pm-3n


Record 8
Here is a relaxed structure of Er5SbPd2 from Materials Project. Energies are from GGA-PBE.

Geometry as extended XYZ:
```
16
Lattice="5.786 4.934 4.278 -4.167 1.915 7.423 1.272 -7.876 -3.533" Properties=species:S:1:pos:R:3 pbc="T T T"
Er 0.000 0.000 0.000
Er 0.810 3.424 5.851
Er 4.411 -1.885 2.766
Er -1.519 0.857 5.402
Er -1.057 2.812 8.741
Er 0.339 -1.532 3.123
Er -0.123 -3.486 -0.216
Er 3.949 -3.839 -0.573
Er 2.553 0.504 5.045
Er 3.015 2.459 8.384
Sb 0.405 1.712 2.925
Sb 1.214 5.136 8.776
Pd -0.876 -4.201 2.580
Pd 3.768 3.174 5.588
Pd 0.727 0.858 7.364
Pd 2.165 -1.885 0.804
```

SG: I4/mcm


In eV/atom, the energy relative to the elements values for the records above are, in order, -0.64 -0.97 -0.92 -0.76 -0.84 -0.71 -1.12 -0.78.
In eV/atom, the total energy values for the records above are, in order, -5.6195 -5.8851 -5.9431 -5.5755 -5.7621 -6.6029 -5.4512 -5.4499.